No. 1
8
Lattice="2.176 -9.549 0.000 2.176 9.549 0.000 0.000 0.000 4.534" Properties=species:S:1:pos:R:3 comment="LiTbSn2, optimized geometry, DFT PBE" volume_a3_per_atom=23.5 ef_mev_per_atom=-458 crystal_system=orthorhombic magmom_total_mub_per_cell=0.00 mass_density_g_cm3=7.11 pbc="T T T"
Li 2.176 6.238 3.400
Li 2.176 -6.238 1.133
Tb 2.176 2.026 3.400
Tb 2.176 -2.026 1.133
Sn 2.176 8.715 3.400
Sn 2.176 4.821 1.133
Sn 2.176 -4.821 3.400
Sn 2.176 -8.715 1.133

---

No. 2
16
Lattice="4.341 0.000 0.000 0.000 4.686 0.000 0.000 0.000 18.953" Properties=species:S:1:pos:R:3 comment="Li3Tb4ZnSn8, optimized geometry, DFT PBE" volume_a3_per_atom=24.1 ef_mev_per_atom=-402 crystal_system=orthorhombic magmom_total_mub_per_cell=0.00 mass_density_g_cm3=7.20 pbc="T T T"
Li 0.000 0.000 0.000
Li 0.000 2.343 6.568
Li 2.170 2.343 16.108
Tb 0.000 0.000 14.854
Tb 0.000 2.343 10.776
Tb 2.170 0.000 5.123
Tb 2.170 2.343 1.314
Zn 2.170 0.000 9.623
Sn 0.000 0.000 2.476
Sn 0.000 0.000 7.942
Sn 0.000 2.343 4.070
Sn 0.000 2.343 17.600
Sn 2.170 0.000 12.138
Sn 2.170 0.000 17.466
Sn 2.170 2.343 8.114
Sn 2.170 2.343 13.639

---

No. 3
4
Lattice="0.000 3.254 3.254 3.254 0.000 3.254 3.254 3.254 0.000" Properties=species:S:1:pos:R:3 comment="Li2ZnSn, optimized geometry, DFT PBE" volume_a3_per_atom=17.2 ef_mev_per_atom=-318 crystal_system=cubic mass_density_g_cm3=4.77 pbc="T T T"
Li 0.000 0.000 0.000
Li 1.627 1.627 1.627
Zn 3.254 3.254 3.254
Sn 4.881 4.881 4.881

---

No. 4
18
Lattice="4.551 0.000 0.000 -2.275 3.941 0.000 0.000 0.000 22.218" Properties=species:S:1:pos:R:3 comment="Li3Zn2Sn4, optimized geometry, DFT PBE" volume_a3_per_atom=22.1 ef_mev_per_atom=-254 crystal_system=hexagonal mass_density_g_cm3=5.22 pbc="T T T"
Li 0.000 2.627 2.394
Li 0.000 2.627 5.555
Li 0.000 2.627 8.715
Li 2.275 1.314 13.503
Li 2.275 1.314 16.664
Li 2.275 1.314 19.825
Zn 0.000 2.627 14.543
Zn 0.000 2.627 18.784
Zn 2.275 1.314 3.434
Zn 2.275 1.314 7.675
Sn 0.000 0.000 4.075
Sn 0.000 0.000 7.034
Sn 0.000 0.000 15.184
Sn 0.000 0.000 18.143
Sn 0.000 2.627 11.760
Sn 0.000 2.627 21.568
Sn 2.275 1.314 0.651
Sn 2.275 1.314 10.459

---

No. 5
4
Lattice="0.000 3.253 3.253 3.253 0.000 3.253 3.253 3.253 0.000" Properties=species:S:1:pos:R:3 comment="Li2ZnSn, optimized geometry, DFT PBE" volume_a3_per_atom=17.2 ef_mev_per_atom=-270 crystal_system=cubic magmom_total_mub_per_cell=0.00 mass_density_g_cm3=4.77 pbc="T T T"
Li 1.627 1.627 1.627
Li 4.880 4.880 4.880
Zn 0.000 0.000 0.000
Sn 3.253 3.253 3.253

---

No. 6
4
Lattice="0.000 3.171 3.171 3.171 0.000 3.171 3.171 3.171 0.000" Properties=species:S:1:pos:R:3 comment="LiTaW2, optimized geometry, DFT PBE" volume_a3_per_atom=15.9 ef_mev_per_atom=556 crystal_system=cubic magmom_total_mub_per_cell=0.01 mass_density_g_cm3=14.46 pbc="T T T"
Li 0.000 0.000 0.000
Ta 3.171 3.171 3.171
W 1.586 1.586 1.586
W 4.757 4.757 4.757

---

No. 7
8
Lattice="6.579 0.000 0.000 -3.290 5.698 0.000 0.000 0.000 5.044" Properties=species:S:1:pos:R:3 comment="Li3Tb, optimized geometry, DFT PBE" volume_a3_per_atom=23.6 ef_mev_per_atom=211 crystal_system=hexagonal magmom_total_mub_per_cell=0.86 mass_density_g_cm3=3.16 pbc="T T T"
Li 0.000 1.706 1.261
Li -1.813 4.845 1.261
Li 1.477 0.853 3.783
Li 1.813 4.845 1.261
Li 5.102 0.853 3.783
Li 3.290 3.992 3.783
Tb 0.000 3.799 3.783
Tb 3.290 1.899 1.261

---

No. 8
4
Lattice="0.000 3.613 3.613 3.613 0.000 3.613 3.613 3.613 0.000" Properties=species:S:1:pos:R:3 comment="LiTh2Tc, optimized geometry, DFT PBE" volume_a3_per_atom=23.6 ef_mev_per_atom=6 crystal_system=cubic magmom_total_mub_per_cell=0.00 mass_density_g_cm3=10.02 pbc="T T T"
Li 0.000 0.000 0.000
Th 1.806 1.806 1.806
Th 5.419 5.419 5.419
Tc 3.613 3.613 3.613

---

No. 9
4
Lattice="0.000 3.446 3.446 3.446 0.000 3.446 3.446 3.446 0.000" Properties=species:S:1:pos:R:3 comment="LiTm2Tc, optimized geometry, DFT PBE" volume_a3_per_atom=20.5 ef_mev_per_atom=-78 crystal_system=cubic mass_density_g_cm3=8.98 pbc="T T T"
Li 0.000 0.000 0.000
Tm 1.723 1.723 1.723
Tm 5.169 5.169 5.169
Tc 3.446 3.446 3.446

---

No. 10
4
Lattice="0.000 3.314 3.314 3.314 0.000 3.314 3.314 3.314 0.000" Properties=species:S:1:pos:R:3 comment="LiZr2Tc, optimized geometry, DFT PBE" volume_a3_per_atom=18.2 ef_mev_per_atom=-180 crystal_system=cubic mass_density_g_cm3=6.56 pbc="T T T"
Li 0.000 0.000 0.000
Zr 1.657 1.657 1.657
Zr 4.971 4.971 4.971
Tc 3.314 3.314 3.314

---

No. 11
48
Lattice="8.778 0.000 0.000 -4.389 7.602 0.000 0.000 0.000 21.512" Properties=species:S:1:pos:R:3 comment="LiTe3, optimized geometry, DFT PBE" e_above_lowest_polymorph_mev_per_atom=0 volume_a3_per_atom=29.9 ef_mev_per_atom=-697 crystal_system=trigonal magmom_total_mub_per_cell=0.00 mass_density_g_cm3=5.41 energy_corrected_mp2020_ev_per_fu=-14.1 pbc="T T T"
Li 0.000 0.000 0.000
Li 0.000 0.000 5.378
Li 0.000 0.000 10.756
Li 0.000 0.000 16.134
Li 0.000 5.068 3.559
Li 0.000 5.068 8.991
Li 0.000 5.068 14.315
Li 0.000 5.068 19.747
Li 4.389 2.534 1.765
Li 4.389 2.534 7.197
Li 4.389 2.534 12.521
Li 4.389 2.534 17.953
Te -2.099 3.635 5.378
Te -2.195 3.801 0.000
Te -2.195 3.801 10.756
Te -2.290 3.967 16.134
Te -0.157 2.511 7.190
Te -2.293 6.210 17.946
Te -0.078 2.560 1.779
Te -2.211 6.254 12.535
Te 0.078 2.560 12.535
Te -2.133 6.390 1.779
Te 0.157 2.511 17.946
Te -2.136 6.482 7.190
Te 2.253 1.120 3.566
Te 2.096 1.392 14.322
Te 2.256 1.212 8.978
Te 2.178 1.348 19.734
Te 4.197 0.000 5.378
Te 2.099 3.635 16.134
Te 4.389 0.000 0.000
Te 4.389 0.000 10.756
Te 2.195 3.801 0.000
Te 2.195 3.801 10.756
Te 4.581 0.000 16.134
Te 2.290 3.967 5.378
Te 2.211 6.254 1.779
Te 2.133 6.390 12.535
Te 2.293 6.210 7.190
Te 2.136 6.482 17.946
Te 6.525 1.120 14.322
Te 4.232 5.091 3.566
Te 6.522 1.212 19.734
Te 4.311 5.042 8.978
Te 6.600 1.348 8.978
Te 4.467 5.042 19.734
Te 6.682 1.392 3.566
Te 4.546 5.091 14.322

---

No. 12
3
Lattice="0.000 3.257 3.257 3.257 0.000 3.257 3.257 3.257 0.000" Properties=species:S:1:pos:R:3 comment="Li2Te, optimized geometry, DFT PBE" volume_a3_per_atom=23.0 ef_mev_per_atom=-1178 crystal_system=cubic mass_density_g_cm3=3.40 energy_corrected_mp2020_ev_per_fu=-10.5 pbc="T T T"
Li 1.629 1.629 1.629
Li 4.886 4.886 4.886
Te 0.000 0.000 0.000